# 1
A geometry-optimized LiCr3O8 structure. Source: the Materials Project database, functional GGA+U.

abc: 6.4558 8.3980 5.5349
angles: 90.00 90.00 90.00
Fractional coordinates of all 24 atoms:
Li (0.0000, 0.0000, 0.0000)
Li (0.5000, 0.5000, 0.5000)
Cr (0.0000, 0.5000, 0.5000)
Cr (0.2310, 0.3514, 0.0000)
Cr (0.2690, 0.8514, 0.5000)
Cr (0.5000, 0.0000, 0.0000)
Cr (0.7310, 0.1486, 0.5000)
Cr (0.7690, 0.6486, 0.0000)
O (0.0294, 0.2402, 0.0000)
O (0.0586, 0.7355, 0.5000)
O (0.2264, 0.4674, 0.2528)
O (0.2264, 0.4674, 0.7472)
O (0.2736, 0.9674, 0.2472)
O (0.2736, 0.9674, 0.7528)
O (0.4414, 0.2355, 0.0000)
O (0.4706, 0.7402, 0.5000)
O (0.5294, 0.2598, 0.5000)
O (0.5586, 0.7645, 0.0000)
O (0.7264, 0.0326, 0.2472)
O (0.7264, 0.0326, 0.7528)
O (0.7736, 0.5326, 0.2528)
O (0.7736, 0.5326, 0.7472)
O (0.9414, 0.2645, 0.5000)
O (0.9706, 0.7598, 0.0000)

Output
Total energy = -6.821 eV/atom
SG = Pnnm, No. 58
Total energy after the MP2020 corrections = -7.779 eV/atom
Calculated density = 3.22 g cm⁻³

---

# 2
A geometry-optimized ZrMnO5F6 structure. Source: the Materials Project database, functional GGA+U.

abc: 8.1251 8.1251 8.5797
angles: 118.25 118.25 54.21
Fractional coordinates of all 26 atoms:
Zr (0.2503, 0.7497, 0.0000)
Zr (0.7497, 0.2503, 0.0000)
Mn (0.2285, 0.2285, 0.6179)
Mn (0.7715, 0.7715, 0.3821)
O (0.0202, 0.6830, 0.4397)
O (0.2436, 0.2436, 0.0396)
O (0.2766, 0.2766, 0.4897)
O (0.3170, 0.9798, 0.5603)
O (0.3304, 0.3304, 0.1802)
O (0.6696, 0.6696, 0.8198)
O (0.6830, 0.0202, 0.4397)
O (0.7234, 0.7234, 0.5103)
O (0.7564, 0.7564, 0.9604)
O (0.9798, 0.3170, 0.5603)
F (0.0994, 0.0994, 0.1115)
F (0.1554, 0.7943, 0.2019)
F (0.1673, 0.4970, 0.8238)
F (0.2057, 0.8446, 0.7981)
F (0.4926, 0.4926, 0.1328)
F (0.4970, 0.1673, 0.8238)
F (0.5030, 0.8327, 0.1762)
F (0.5074, 0.5074, 0.8672)
F (0.7943, 0.1554, 0.2019)
F (0.8327, 0.5030, 0.1762)
F (0.8446, 0.2057, 0.7981)
F (0.9006, 0.9006, 0.8885)

Output
Total energy = -5.561 eV/atom
SG = C2/m, No. 12
Total energy after the MP2020 corrections = -5.964 eV/atom
Calculated density = 2.90 g cm⁻³
Total moment = 1.2 μB per formula unit

---

# 3
A geometry-optimized LiCoPO4 structure. Source: the Materials Project database, functional GGA+U.

abc: 9.7097 9.7097 23.0219
angles: 90.00 90.00 120.00
Fractional coordinates of all 168 atoms:
Li (0.0893, 0.7541, 0.1583)
Li (0.0950, 0.8209, 0.5137)
Li (0.1281, 0.7596, 0.8333)
Li (0.1791, 0.2741, 0.8470)
Li (0.2404, 0.3686, 0.1667)
Li (0.2459, 0.3352, 0.4916)
Li (0.2741, 0.0950, 0.6803)
Li (0.3109, 0.6683, 0.9944)
Li (0.3317, 0.6426, 0.3277)
Li (0.3352, 0.0893, 0.3249)
Li (0.3574, 0.6891, 0.6610)
Li (0.3686, 0.1281, 0.0000)
Li (0.6314, 0.8719, 0.5000)
Li (0.6426, 0.3109, 0.1610)
Li (0.6648, 0.9107, 0.8249)
Li (0.6683, 0.3574, 0.8277)
Li (0.6891, 0.3317, 0.4944)
Li (0.7259, 0.9050, 0.1803)
Li (0.7541, 0.6648, 0.9916)
Li (0.7596, 0.6314, 0.6667)
Li (0.8209, 0.7259, 0.3470)
Li (0.8719, 0.2404, 0.3333)
Li (0.9050, 0.1791, 0.0137)
Li (0.9107, 0.2459, 0.6583)
Co (0.0025, 0.9883, 0.4433)
Co (0.0117, 0.0142, 0.7766)
Co (0.0142, 0.0025, 0.6099)
Co (0.0245, 0.5715, 0.2848)
Co (0.0481, 0.4872, 0.0882)
Co (0.0626, 0.4616, 0.4336)
Co (0.3990, 0.9374, 0.1003)
Co (0.4285, 0.4529, 0.6181)
Co (0.4391, 0.9519, 0.7549)
Co (0.4529, 0.0245, 0.4515)
Co (0.4616, 0.3990, 0.2670)
Co (0.4872, 0.4391, 0.9215)
Co (0.5128, 0.5609, 0.4215)
Co (0.5384, 0.6010, 0.7670)
Co (0.5471, 0.9755, 0.9515)
Co (0.5609, 0.0481, 0.2549)
Co (0.5715, 0.5471, 0.1181)
Co (0.6010, 0.0626, 0.6003)
Co (0.9374, 0.5384, 0.9336)
Co (0.9519, 0.5128, 0.5882)
Co (0.9755, 0.4285, 0.7848)
Co (0.9858, 0.9975, 0.1099)
Co (0.9883, 0.9858, 0.2766)
Co (0.9975, 0.0117, 0.9433)
P (0.0813, 0.7467, 0.7082)
P (0.0876, 0.7881, 0.0270)
P (0.1371, 0.7928, 0.3773)
P (0.2072, 0.3443, 0.7106)
P (0.2119, 0.2995, 0.3604)
P (0.2533, 0.3346, 0.0415)
P (0.2912, 0.6562, 0.5317)
P (0.2995, 0.0876, 0.1937)
P (0.3346, 0.0813, 0.8748)
P (0.3443, 0.1371, 0.5440)
P (0.3438, 0.6351, 0.8651)
P (0.3649, 0.7088, 0.1984)
P (0.6351, 0.2912, 0.6984)
P (0.6562, 0.3649, 0.3651)
P (0.6557, 0.8629, 0.0440)
P (0.6654, 0.9187, 0.3748)
P (0.7005, 0.9124, 0.6937)
P (0.7088, 0.3438, 0.0317)
P (0.7467, 0.6654, 0.5415)
P (0.7881, 0.7005, 0.8604)
P (0.7928, 0.6557, 0.2106)
P (0.8629, 0.2072, 0.8773)
P (0.9124, 0.2119, 0.5270)
P (0.9187, 0.2533, 0.2082)
O (0.0126, 0.6492, 0.7640)
O (0.0151, 0.6775, 0.0804)
O (0.0248, 0.3461, 0.1553)
O (0.0296, 0.1583, 0.5028)
O (0.0358, 0.7999, 0.4285)
O (0.0491, 0.7886, 0.3200)
O (0.0600, 0.3002, 0.3793)
O (0.0711, 0.3819, 0.7119)
O (0.0749, 0.9066, 0.7135)
O (0.0934, 0.1683, 0.0468)
O (0.1193, 0.6909, 0.9808)
O (0.1287, 0.9704, 0.1695)
O (0.1331, 0.6588, 0.5402)
O (0.1398, 0.6321, 0.3757)
O (0.1583, 0.1287, 0.3361)
O (0.1683, 0.0749, 0.8802)
O (0.1728, 0.5930, 0.8497)
O (0.2001, 0.2359, 0.7618)
O (0.2086, 0.4664, 0.0339)
O (0.2114, 0.2605, 0.6534)
O (0.2359, 0.0358, 0.5952)
O (0.2403, 0.9400, 0.0460)
O (0.2578, 0.7914, 0.7006)
O (0.2589, 0.6707, 0.2527)
O (0.2605, 0.0491, 0.4867)
O (0.2651, 0.5422, 0.4789)
O (0.2771, 0.7349, 0.1455)
O (0.3002, 0.2403, 0.2126)
O (0.3091, 0.4284, 0.3141)
O (0.3108, 0.9289, 0.3786)
O (0.3213, 0.9752, 0.8220)
O (0.3225, 0.3377, 0.4138)
O (0.3293, 0.5883, 0.5860)
O (0.3377, 0.0151, 0.2471)
O (0.3412, 0.4743, 0.8735)
O (0.3461, 0.3213, 0.9887)
O (0.3508, 0.3634, 0.0973)
O (0.3634, 0.0126, 0.9306)
O (0.3679, 0.5077, 0.7090)
O (0.3819, 0.3108, 0.5453)
O (0.4070, 0.5798, 0.1831)
O (0.4117, 0.7411, 0.9194)
O (0.4202, 0.8272, 0.5164)
O (0.4284, 0.1193, 0.1474)
O (0.4578, 0.7229, 0.8122)
O (0.4664, 0.2578, 0.8673)
O (0.4743, 0.1331, 0.7069)
O (0.4923, 0.8602, 0.0424)
O (0.5077, 0.1398, 0.5424)
O (0.5257, 0.8669, 0.2069)
O (0.5336, 0.7422, 0.3673)
O (0.5422, 0.2771, 0.3122)
O (0.5716, 0.8807, 0.6474)
O (0.5798, 0.1728, 0.0164)
O (0.5883, 0.2589, 0.4194)
O (0.5930, 0.4202, 0.6831)
O (0.6181, 0.6892, 0.0453)
O (0.6321, 0.4923, 0.2090)
O (0.6366, 0.9874, 0.4306)
O (0.6492, 0.6366, 0.5973)
O (0.6539, 0.6787, 0.4887)
O (0.6588, 0.5257, 0.3735)
O (0.6623, 0.9849, 0.7471)
O (0.6707, 0.4117, 0.0860)
O (0.6775, 0.6623, 0.9138)
O (0.6787, 0.0248, 0.3220)
O (0.6892, 0.0711, 0.8786)
O (0.6909, 0.5716, 0.8141)
O (0.6998, 0.7597, 0.7126)
O (0.7229, 0.2651, 0.6455)
O (0.7349, 0.4578, 0.9789)
O (0.7395, 0.9509, 0.9867)
O (0.7411, 0.3293, 0.7527)
O (0.7422, 0.2086, 0.2006)
O (0.7597, 0.0600, 0.5460)
O (0.7641, 0.9642, 0.0952)
O (0.7886, 0.7395, 0.1534)
O (0.7914, 0.5336, 0.5339)
O (0.7999, 0.7641, 0.2618)
O (0.8272, 0.4070, 0.3497)
O (0.8317, 0.9251, 0.3802)
O (0.8417, 0.8713, 0.8361)
O (0.8602, 0.3679, 0.8757)
O (0.8669, 0.3412, 0.0402)
O (0.8713, 0.0296, 0.6695)
O (0.8807, 0.3091, 0.4808)
O (0.9066, 0.8317, 0.5468)
O (0.9251, 0.0934, 0.2135)
O (0.9289, 0.6181, 0.2119)
O (0.9400, 0.6998, 0.8793)
O (0.9509, 0.2114, 0.8200)
O (0.9642, 0.2001, 0.9285)
O (0.9704, 0.8417, 0.0028)
O (0.9752, 0.6539, 0.6553)
O (0.9849, 0.3225, 0.5804)
O (0.9874, 0.3508, 0.2640)

Output
Total energy = -6.559 eV/atom
SG = P6_1, No. 169
Total energy after the MP2020 corrections = -7.185 eV/atom
Calculated density = 3.41 g cm⁻³
Total moment = 3.0 μB per formula unit

---

# 4
A geometry-optimized VF5 structure. Source: the Materials Project database, functional GGA+U.

abc: 8.2430 10.1766 5.1276
angles: 90.00 90.00 90.00
Fractional coordinates of all 24 atoms:
V (0.0829, 0.2500, 0.2148)
V (0.4171, 0.7500, 0.7148)
V (0.5829, 0.2500, 0.2852)
V (0.9171, 0.7500, 0.7852)
F (0.0731, 0.1305, 0.4639)
F (0.0731, 0.3695, 0.4639)
F (0.1158, 0.7500, 0.9071)
F (0.1824, 0.1304, 0.0215)
F (0.1824, 0.3696, 0.0215)
F (0.3176, 0.6304, 0.5215)
F (0.3176, 0.8696, 0.5215)
F (0.3842, 0.2500, 0.4071)
F (0.4269, 0.6305, 0.9639)
F (0.4269, 0.8695, 0.9639)
F (0.5731, 0.1305, 0.0361)
F (0.5731, 0.3695, 0.0361)
F (0.6158, 0.7500, 0.5929)
F (0.6824, 0.1304, 0.4785)
F (0.6824, 0.3696, 0.4785)
F (0.8176, 0.6304, 0.9785)
F (0.8176, 0.8696, 0.9785)
F (0.8842, 0.2500, 0.0929)
F (0.9269, 0.6305, 0.5361)
F (0.9269, 0.8695, 0.5361)

Output
Total energy = -5.209 eV/atom
SG = Pnma, No. 62
Total energy after the MP2020 corrections = -5.877 eV/atom
Calculated density = 2.25 g cm⁻³

---

# 5
A geometry-optimized NaNiP2HO7 structure. Source: the Materials Project database, functional GGA+U.

abc: 6.5251 6.5298 18.3686
angles: 84.08 86.61 88.46
Fractional coordinates of all 72 atoms:
Na (0.0000, 0.0000, 0.0000)
Na (0.0350, 0.2807, 0.4997)
Na (0.3334, 0.0000, 0.3333)
Na (0.3695, 0.2819, 0.8324)
Na (0.5934, 0.9533, 0.6727)
Na (0.7026, 0.2816, 0.1659)
Ni (0.1344, 0.7591, 0.6220)
Ni (0.1611, 0.4770, 0.2168)
Ni (0.4733, 0.7580, 0.9560)
Ni (0.4944, 0.4755, 0.5503)
Ni (0.8065, 0.7581, 0.2892)
Ni (0.8274, 0.4768, 0.8832)
P (0.1015, 0.4982, 0.0407)
P (0.1419, 0.2586, 0.6585)
P (0.1532, 0.9751, 0.1809)
P (0.1932, 0.7383, 0.7983)
P (0.4349, 0.4982, 0.3741)
P (0.4751, 0.2596, 0.9920)
P (0.4866, 0.9758, 0.5140)
P (0.5268, 0.7379, 0.1314)
P (0.7689, 0.4960, 0.7075)
P (0.8085, 0.2596, 0.3253)
P (0.8199, 0.9750, 0.8474)
P (0.8599, 0.7378, 0.4646)
H (0.1308, 0.3150, 0.3551)
H (0.1586, 0.9164, 0.4838)
H (0.4688, 0.3166, 0.6878)
H (0.4932, 0.9178, 0.8180)
H (0.7976, 0.3150, 0.0217)
H (0.8254, 0.9166, 0.1505)
O (0.0086, 0.9093, 0.7941)
O (0.0151, 0.5005, 0.1188)
O (0.0220, 0.8237, 0.5128)
O (0.0783, 0.0777, 0.6204)
O (0.1026, 0.7864, 0.2364)
O (0.1109, 0.5376, 0.8365)
O (0.1873, 0.6968, 0.0024)
O (0.1929, 0.4472, 0.6027)
O (0.2179, 0.1569, 0.2186)
O (0.2759, 0.4095, 0.3257)
O (0.2800, 0.7342, 0.7202)
O (0.2860, 0.3248, 0.0450)
O (0.3090, 0.0252, 0.4624)
O (0.3205, 0.2096, 0.7099)
O (0.3420, 0.9095, 0.1274)
O (0.3486, 0.5005, 0.4522)
O (0.3546, 0.8236, 0.8467)
O (0.4074, 0.0781, 0.9546)
O (0.4355, 0.7871, 0.5698)
O (0.4443, 0.5379, 0.1702)
O (0.5206, 0.6968, 0.3357)
O (0.5270, 0.4466, 0.9358)
O (0.5504, 0.1564, 0.5524)
O (0.6071, 0.4110, 0.6592)
O (0.6122, 0.7319, 0.0535)
O (0.6193, 0.3248, 0.3783)
O (0.6410, 0.0250, 0.7962)
O (0.6546, 0.2107, 0.0430)
O (0.6754, 0.9098, 0.4607)
O (0.6815, 0.5000, 0.7855)
O (0.6885, 0.8240, 0.1796)
O (0.7407, 0.0781, 0.2879)
O (0.7693, 0.7863, 0.9029)
O (0.7775, 0.5380, 0.5035)
O (0.8512, 0.6967, 0.6694)
O (0.8603, 0.4466, 0.2691)
O (0.8843, 0.1569, 0.8850)
O (0.9426, 0.4094, 0.9923)
O (0.9455, 0.7319, 0.3868)
O (0.9531, 0.3247, 0.7118)
O (0.9754, 0.0256, 0.1294)
O (0.9879, 0.2107, 0.3763)

Output
Total energy = -6.347 eV/atom
SG = P1, No. 1
Total energy after the MP2020 corrections = -6.959 eV/atom
Calculated density = 3.29 g cm⁻³
Total moment = 2.0 μB per formula unit

---

# 6
A geometry-optimized Mn3CoO8 structure. Source: the Materials Project database, functional GGA+U.

abc: 8.2430 8.2430 8.2430
angles: 90.00 90.00 90.00
Fractional coordinates of all 48 atoms:
Mn (0.1228, 0.3750, 0.3728)
Mn (0.1250, 0.6272, 0.6228)
Mn (0.1272, 0.8772, 0.8750)
Mn (0.3728, 0.1228, 0.3750)
Mn (0.3750, 0.3728, 0.1228)
Mn (0.3772, 0.6250, 0.8728)
Mn (0.6228, 0.1250, 0.6272)
Mn (0.6250, 0.8728, 0.3772)
Mn (0.6272, 0.6228, 0.1250)
Mn (0.8728, 0.3772, 0.6250)
Mn (0.8750, 0.1272, 0.8772)
Mn (0.8772, 0.8750, 0.1272)
Co (0.1250, 0.1250, 0.1250)
Co (0.3750, 0.8750, 0.6250)
Co (0.6250, 0.3750, 0.8750)
Co (0.8750, 0.6250, 0.3750)
O (0.1074, 0.3926, 0.6074)
O (0.1099, 0.1124, 0.8871)
O (0.1124, 0.8871, 0.1099)
O (0.1129, 0.6099, 0.3876)
O (0.1371, 0.8624, 0.6401)
O (0.1376, 0.1401, 0.3629)
O (0.1401, 0.3629, 0.1376)
O (0.1426, 0.6426, 0.8574)
O (0.3574, 0.3574, 0.3574)
O (0.3599, 0.6371, 0.6376)
O (0.3624, 0.8599, 0.8629)
O (0.3629, 0.1376, 0.1401)
O (0.3871, 0.3901, 0.8876)
O (0.3876, 0.1129, 0.6099)
O (0.3901, 0.8876, 0.3871)
O (0.3926, 0.6074, 0.1074)
O (0.6074, 0.1074, 0.3926)
O (0.6099, 0.3876, 0.1129)
O (0.6124, 0.6129, 0.8901)
O (0.6129, 0.8901, 0.6124)
O (0.6371, 0.6376, 0.3599)
O (0.6376, 0.3599, 0.6371)
O (0.6401, 0.1371, 0.8624)
O (0.6426, 0.8574, 0.1426)
O (0.8574, 0.1426, 0.6426)
O (0.8599, 0.8629, 0.3624)
O (0.8624, 0.6401, 0.1371)
O (0.8629, 0.3624, 0.8599)
O (0.8871, 0.1099, 0.1124)
O (0.8876, 0.3871, 0.3901)
O (0.8901, 0.6124, 0.6129)
O (0.8926, 0.8926, 0.8926)

Output
Total energy = -6.685 eV/atom
SG = P4_332, No. 212
Total energy after the MP2020 corrections = -7.697 eV/atom
Calculated density = 4.17 g cm⁻³
Total moment = 10.0 μB per formula unit